The following is a DFT calculation (PBE-GGA) of a relaxed structure of Ho2CrS4. Values from VASP.

Calculated values
Total magnetic moment   31.9 Bohr magnetons per cell
VASP energy   -6.641 eV/atom

Structure (Quantum ESPRESSO input):
```
&SYSTEM
  ibrav = 0, nat = 56, ntyp = 3
/
ATOMIC_SPECIES
S 32.06 S.upf
Cr 52.00 Cr.upf
Ho 164.93 Ho.upf
CELL_PARAMETERS angstrom
-6.6311 -3.3990 10.1048
1.1242 -7.2306 -1.6945
10.5015 0.0164 6.8969
ATOMIC_POSITIONS crystal
S 0.2685 0.3582 0.7011
S 0.2572 0.8527 0.7031
S 0.4882 0.6167 0.8082
S 0.5497 0.3832 0.5687
S 0.7081 0.3852 0.9251
S 0.7428 0.1473 0.2031
S 0.9882 0.3833 0.8082
S 0.2889 0.1154 0.4521
S 0.5246 0.8860 0.5590
S 0.2315 0.3582 0.2011
S 0.7889 0.8846 0.4521
S 0.0497 0.6168 0.5687
S 0.9503 0.3832 0.0687
S 0.5118 0.3833 0.3082
S 0.0246 0.1140 0.5590
S 0.2919 0.6148 0.4251
S 0.4754 0.1140 0.0590
S 0.9686 0.8811 0.7961
S 0.7919 0.3852 0.4251
S 0.7111 0.8846 0.9521
S 0.2081 0.6148 0.9251
S 0.7572 0.1473 0.7031
S 0.5314 0.8811 0.2961
S 0.7685 0.6418 0.7011
S 0.4503 0.6168 0.0687
S 0.2111 0.1154 0.9521
S 0.4686 0.1189 0.7961
S 0.0118 0.6167 0.3082
S 0.0314 0.1189 0.2961
S 0.9754 0.8860 0.0590
S 0.7315 0.6418 0.2011
S 0.2428 0.8527 0.2031
Cr 0.1243 0.6143 0.7508
Cr 0.8811 0.8944 0.6244
Cr 0.6243 0.3857 0.7508
Cr 0.1189 0.1056 0.1244
Cr 0.8757 0.3857 0.2508
Cr 0.3811 0.1056 0.6244
Cr 0.6189 0.8944 0.1244
Cr 0.3757 0.6143 0.2508
Ho 0.6346 0.6345 0.4208
Ho 0.3652 0.8651 0.9259
Ho 0.8752 0.8852 0.2545
Ho 0.3752 0.1148 0.2545
Ho 0.3898 0.6123 0.6150
Ho 0.1102 0.6123 0.1150
Ho 0.6348 0.1349 0.4259
Ho 0.3654 0.3655 0.9208
Ho 0.1346 0.3655 0.4208
Ho 0.8898 0.3877 0.6150
Ho 0.1248 0.1148 0.7545
Ho 0.6102 0.3877 0.1150
Ho 0.8652 0.1349 0.9259
Ho 0.8654 0.6345 0.9208
Ho 0.6248 0.8852 0.7545
Ho 0.1348 0.8651 0.4259
```